1.
Below is a relaxed Al2Re3B crystal, with properties calculated at the PBE level.

Lattice parameters (Å, degrees): 7.6062 7.6062 7.6062 60.00 60.00 60.00
Fractional positions:
Al: 0.9141 0.9141 0.2576
Al: 0.3359 0.3359 0.3359
Al: 0.2576 0.9141 0.9141
Al: 0.3359 0.9924 0.3359
Al: 0.9924 0.3359 0.3359
Al: 0.3359 0.3359 0.9924
Al: 0.9141 0.9141 0.9141
Al: 0.9141 0.2576 0.9141
Re: 0.6918 0.6918 0.3082
Re: 0.3082 0.6918 0.3082
Re: 0.5582 0.9418 0.5582
Re: 0.5582 0.9418 0.9418
Re: 0.9418 0.5582 0.5582
Re: 0.9418 0.5582 0.9418
Re: 0.3082 0.3082 0.6918
Re: 0.5582 0.5582 0.9418
Re: 0.3082 0.6918 0.6918
Re: 0.6918 0.3082 0.3082
Re: 0.9418 0.9418 0.5582
Re: 0.6918 0.3082 0.6918
B: 0.1250 0.1250 0.1250
B: 0.1250 0.1250 0.6250
B: 0.6250 0.1250 0.1250
B: 0.1250 0.6250 0.1250

Values from the calculation:
* ρ: 13.3 g cm⁻³
* formation energy from the elements: 247 meV/atom
* SG: No. 227

***

2.
Below is a relaxed BaNaPrNbO6 crystal, with properties calculated at the PBE level.

Lattice parameters (Å, degrees): 6.1747 6.1747 6.1747 60.00 60.00 60.00
Fractional positions:
Ba: 0.7500 0.7500 0.7500
Na: 0.2500 0.2500 0.2500
Pr: 0.5000 0.5000 0.5000
Nb: 0.0000 0.0000 0.0000
O: 0.7694 0.2306 0.2306
O: 0.2306 0.7694 0.7694
O: 0.7694 0.2306 0.7694
O: 0.2306 0.7694 0.2306
O: 0.7694 0.7694 0.2306
O: 0.2306 0.2306 0.7694

Values from the calculation:
* ρ: 4.9 g cm⁻³
* offset from the most stable computed form: 2.0 kJ/mol of atoms
* formation energy from the elements: -2886 meV/atom
* SG: No. 216

***

3.
Below is a relaxed Ho2Al crystal, with properties calculated at the PBE level.

Lattice parameters (Å, degrees): 5.0779 6.5291 9.4121 90.00 90.00 90.00
Fractional positions:
Ho: 0.7500 0.6878 0.4272
Ho: 0.2500 0.3122 0.5728
Ho: 0.7500 0.1878 0.0728
Ho: 0.2500 0.8122 0.9272
Ho: 0.7500 0.5270 0.7899
Ho: 0.2500 0.4730 0.2101
Ho: 0.7500 0.0270 0.7101
Ho: 0.2500 0.9730 0.2899
Al: 0.7500 0.2084 0.3973
Al: 0.2500 0.7916 0.6027
Al: 0.7500 0.7084 0.1027
Al: 0.2500 0.2916 0.8973

Values from the calculation:
* ρ: 7.6 g cm⁻³
* formation energy from the elements: -292 meV/atom
* SG: No. 62

***

4.
Below is a relaxed Mg14CuCO16 crystal, with properties calculated at the PBE level.

Lattice parameters (Å, degrees): 8.5208 8.5208 4.2173 90.00 90.00 90.00
Fractional positions:
Mg: 0.0000 0.5000 0.0000
Mg: 0.5000 0.0000 0.0000
Mg: 0.0000 0.2497 0.5000
Mg: 0.0000 0.7503 0.5000
Mg: 0.5000 0.2531 0.5000
Mg: 0.5000 0.7469 0.5000
Mg: 0.2497 0.0000 0.5000
Mg: 0.2531 0.5000 0.5000
Mg: 0.7503 0.0000 0.5000
Mg: 0.7469 0.5000 0.5000
Mg: 0.2512 0.2512 0.0000
Mg: 0.2512 0.7488 0.0000
Mg: 0.7488 0.2512 0.0000
Mg: 0.7488 0.7488 0.0000
Cu: 0.0000 0.0000 0.0000
C: 0.5000 0.5000 0.0000
O: 0.2541 0.0000 0.0000
O: 0.2488 0.5000 0.0000
O: 0.7459 0.0000 0.0000
O: 0.7512 0.5000 0.0000
O: 0.2502 0.2502 0.5000
O: 0.2502 0.7498 0.5000
O: 0.7498 0.2502 0.5000
O: 0.7498 0.7498 0.5000
O: 0.0000 0.0000 0.5000
O: 0.0000 0.5000 0.5000
O: 0.5000 0.0000 0.5000
O: 0.5000 0.5000 0.5000
O: 0.0000 0.2541 0.0000
O: 0.0000 0.7459 0.0000
O: 0.5000 0.2488 0.0000
O: 0.5000 0.7512 0.0000

Values from the calculation:
* ρ: 3.6 g cm⁻³
* offset from the most stable computed form: 1.0 kJ/mol of atoms
* formation energy from the elements: -2582 meV/atom
* SG: No. 123

***

5.
Below is a relaxed MnCrB2 crystal, with properties calculated at the PBE level.

Lattice parameters (Å, degrees): 4.1383 4.1383 2.9348 90.00 90.00 138.05
Fractional positions:
Mn: 0.8571 0.1429 0.0000
Cr: 0.1443 0.8557 0.5000
B: 0.4325 0.5675 0.5000
B: 0.5661 0.4339 0.0000

Values from the calculation:
* ρ: 6.4 g cm⁻³
* formation energy from the elements: -486 meV/atom
* SG: No. 38

***

6.
Below is a relaxed Rb2SnHgTe4 crystal, with properties calculated at the PBE level.

Lattice parameters (Å, degrees): 7.4590 7.4590 7.4590 105.07 105.07 118.68
Fractional positions:
Rb: 0.5000 0.0000 0.5000
Rb: 0.0000 0.5000 0.5000
Sn: 0.5000 0.5000 0.0000
Hg: 0.0000 0.0000 0.0000
Te: 0.9043 0.9043 0.3353
Te: 0.5690 0.5690 0.6647
Te: 0.4310 0.0957 0.0000
Te: 0.0957 0.4310 0.0000

Values from the calculation:
* ρ: 5.3 g cm⁻³
* maximum piezoelectric response: 0.258 C/m2
* formation energy from the elements: -776 meV/atom
* SG: No. 121

***

7.
Below is a relaxed Pm2CuNi crystal, with properties calculated at the PBE level.

Lattice parameters (Å, degrees): 4.9553 4.9553 4.9553 60.00 60.00 60.00
Fractional positions:
Pm: 0.2500 0.2500 0.2500
Pm: 0.7500 0.7500 0.7500
Cu: 0.5000 0.5000 0.5000
Ni: 0.0000 0.0000 0.0000

Values from the calculation:
* ρ: 8.0 g cm⁻³
* formation energy from the elements: -212 meV/atom
* SG: No. 225

***

8.
Below is a relaxed La2MgSe4 crystal, with properties calculated at the PBE level.

Lattice parameters (Å, degrees): 7.8029 7.8029 7.8029 111.13 111.13 106.21
Fractional positions:
La: 0.8750 0.7577 0.3827
La: 0.5077 0.1250 0.8827
La: 0.3750 0.4923 0.6173
La: 0.2423 0.6250 0.1173
Mg: 0.0000 0.0000 0.0000
Mg: 0.7500 0.2500 0.5000
Se: 0.5063 0.3753 0.2677
Se: 0.7613 0.4937 0.8690
Se: 0.1076 0.2387 0.7323
Se: 0.6247 0.8924 0.1310
Se: 0.2437 0.0113 0.3690
Se: 0.9887 0.3576 0.2323
Se: 0.6424 0.8747 0.6310
Se: 0.1253 0.7563 0.7677

Values from the calculation:
* ρ: 5.6 g cm⁻³
* offset from the most stable computed form: 2.5 kJ/mol of atoms
* formation energy from the elements: -2003 meV/atom
* SG: No. 122

***

9.
Below is a relaxed NaZn2CdF7 crystal, with properties calculated at the PBE level.

Lattice parameters (Å, degrees): 7.4278 7.4278 7.4278 120.60 119.63 89.81
Fractional positions:
Na: 0.5000 0.0000 0.0000
Na: 0.5000 0.5000 0.5000
Zn: 0.0000 0.5000 0.0000
Zn: 0.0000 0.0000 0.5000
Zn: 0.0000 0.5000 0.5000
Zn: 0.5000 0.5000 0.0000
Cd: 0.5000 0.0000 0.5000
Cd: 0.0000 0.0000 0.0000
F: 0.3326 0.5920 0.1701
F: 0.9219 0.1624 0.3299
F: 0.3278 0.5778 0.7500
F: 0.9132 0.1632 0.7500
F: 0.3326 0.1624 0.7406
F: 0.9219 0.5920 0.7594
F: 0.6674 0.4080 0.8299
F: 0.0781 0.8376 0.6701
F: 0.6722 0.4222 0.2500
F: 0.0868 0.8368 0.2500
F: 0.6674 0.8376 0.2594
F: 0.0781 0.4080 0.2406
F: 0.6334 0.8834 0.7500
F: 0.3666 0.1166 0.2500

Values from the calculation:
* ρ: 4.6 g cm⁻³
* formation energy from the elements: -2640 meV/atom
* SG: No. 74

***

10.
Below is a relaxed Na4NbAl3P6O24 crystal, with properties calculated at the PBE level.

Lattice parameters (Å, degrees): 8.5804 8.5739 21.8837 89.99 90.08 119.97
Fractional positions:
Na: 0.6346 0.9998 0.2508
Na: 0.3643 0.3648 0.2508
Na: 0.0002 0.6353 0.2505
Na: 0.3013 0.3313 0.5856
Na: 0.0319 0.6977 0.5854
Na: 0.6673 0.6988 0.0823
Na: 0.9905 0.9989 0.4974
Na: 0.0092 0.0082 0.9975
Na: 0.6669 0.3331 0.8274
Na: 0.6665 0.3329 0.3334
Na: 0.3243 0.6658 0.1631
Na: 0.3441 0.6761 0.6656
Nb: 0.6660 0.3316 0.9776
Nb: 0.6676 0.3327 0.4769
Nb: 0.3326 0.6666 0.8079
Al: 0.0007 0.0008 0.3544
Al: 0.9996 0.0003 0.8520
Al: 0.9944 0.9992 0.6497
Al: 0.0051 0.0042 0.1469
Al: 0.6659 0.3318 0.6891
Al: 0.6675 0.3329 0.1834
Al: 0.3274 0.6659 0.0194
Al: 0.3396 0.6719 0.5174
Al: 0.3334 0.6671 0.3158
P: 0.2859 0.0002 0.2502
P: 0.7135 0.7132 0.2499
P: 0.9999 0.2859 0.2502
P: 0.2864 0.2734 0.7485
P: 0.9866 0.7136 0.7485
P: 0.7267 0.0129 0.7492
P: 0.9566 0.3298 0.5868
P: 0.3779 0.0390 0.5867
P: 0.6654 0.6284 0.5865
P: 0.9653 0.6279 0.0866
P: 0.6663 0.0395 0.0867
P: 0.3688 0.3302 0.0862
P: 0.6269 0.6802 0.9186
P: 0.0540 0.3737 0.9181
P: 0.3191 0.9458 0.9180
P: 0.6217 0.9431 0.4147
P: 0.3218 0.3786 0.4155
P: 0.0568 0.6786 0.4154
O: 0.2045 0.0400 0.3064
O: 0.8367 0.7979 0.3054
O: 0.9606 0.1648 0.3064
O: 0.1991 0.1661 0.8060
O: 0.9665 0.8007 0.8061
O: 0.8324 0.0339 0.8075
O: 0.8006 0.9703 0.6921
O: 0.1737 0.2011 0.6898
O: 0.0280 0.8269 0.6898
O: 0.7923 0.8302 0.1918
O: 0.0390 0.2040 0.1938
O: 0.1645 0.9605 0.1938
O: 0.8684 0.3714 0.6399
O: 0.4992 0.1320 0.6409
O: 0.6273 0.4994 0.6399
O: 0.8746 0.5090 0.1434
O: 0.6353 0.1276 0.1433
O: 0.4952 0.3695 0.1423
O: 0.4614 0.3011 0.0292
O: 0.8372 0.5394 0.0301
O: 0.6983 0.1607 0.0295
O: 0.4615 0.1622 0.5282
O: 0.7028 0.5412 0.5280
O: 0.8397 0.3001 0.5276
O: 0.5386 0.6992 0.9769
O: 0.1659 0.4649 0.9747
O: 0.3001 0.8351 0.9747
O: 0.5335 0.8340 0.4721
O: 0.3015 0.4643 0.4744
O: 0.1622 0.6978 0.4745
O: 0.1338 0.6398 0.3577
O: 0.5076 0.8688 0.3563
O: 0.3607 0.4944 0.3577
O: 0.1311 0.4936 0.8604
O: 0.3617 0.8686 0.8604
O: 0.5048 0.6383 0.8616
O: 0.0295 0.8406 0.4086
O: 0.8111 0.9706 0.4081
O: 0.1596 0.1894 0.4087
O: 0.0278 0.1869 0.9094
O: 0.1589 0.9726 0.9093
O: 0.8133 0.8409 0.9099
O: 0.9803 0.1642 0.5915
O: 0.1887 0.0212 0.5907
O: 0.8376 0.8125 0.5914
O: 0.9740 0.8112 0.0925
O: 0.8345 0.0194 0.0924
O: 0.1858 0.1613 0.0924
O: 0.6963 0.1734 0.7420
O: 0.4775 0.3044 0.7419
O: 0.8263 0.5227 0.7415
O: 0.6898 0.5205 0.2425
O: 0.8312 0.3098 0.2425
O: 0.4782 0.1689 0.2422
O: 0.6427 0.5048 0.9238
O: 0.8632 0.3582 0.9240
O: 0.4945 0.1369 0.9235
O: 0.6400 0.1359 0.4216
O: 0.4961 0.3600 0.4220
O: 0.8640 0.5043 0.4215
O: 0.3596 0.5037 0.0770
O: 0.1477 0.6427 0.0768
O: 0.4995 0.8521 0.0774
O: 0.3534 0.8503 0.5761
O: 0.4944 0.6406 0.5754
O: 0.1449 0.5002 0.5765
O: 0.3101 0.8317 0.2574
O: 0.5211 0.6892 0.2572
O: 0.1680 0.4787 0.2575
O: 0.3072 0.4686 0.7548
O: 0.1612 0.6931 0.7547
O: 0.5315 0.8388 0.7555

Values from the calculation:
* ρ: 3.0 g cm⁻³
* formation energy from the elements: -2896 meV/atom
* SG: No. 1

***

11.
Below is a relaxed HoAsPd crystal, with properties calculated at the PBE level.

Lattice parameters (Å, degrees): 4.1290 7.0471 7.9548 90.00 90.00 90.00
Fractional positions:
Ho: 0.2500 0.0311 0.1911
Ho: 0.7500 0.9689 0.8089
Ho: 0.2500 0.5311 0.3089
Ho: 0.7500 0.4689 0.6911
As: 0.2500 0.7485 0.6210
As: 0.7500 0.2515 0.3790
As: 0.2500 0.2485 0.8790
As: 0.7500 0.7515 0.1210
Pd: 0.7500 0.3571 0.0623
Pd: 0.2500 0.6429 0.9377
Pd: 0.7500 0.8571 0.4377
Pd: 0.2500 0.1429 0.5623

Values from the calculation:
* ρ: 9.9 g cm⁻³
* formation energy from the elements: -1192 meV/atom
* SG: No. 62